Below is a relaxed ZrGa2 crystal, with properties calculated at the PBE level.

Results
- crystal system = orthorhombic
- volume (Å³ per atom) = 18.1
- formation energy from the elements (eV/atom) = -0.568

Unit cell a=4.016 b=13.017 c=4.157 alpha=90.00 beta=90.00 gamma=90.00
Space group Cmmm (No. 65)
Unique sites:
Zr (0.000, 0.150, 0.000)
Ga (0.000, 0.000, 0.500)
Ga (0.000, 0.322, 0.500)
Ga (0.000, 0.500, 0.000)